# 1
Entry from Materials Project: a relaxed Li2MnO2F crystal (PBE+U).

```
Li2MnO2F
1.0
-1.9282 -3.7072 2.9597
-1.8376 -4.1644 -2.3455
8.8224 -4.2717 -0.6546
Li Mn O F
8 4 8 4
Direct
0.5927 0.5927 0.7500
0.4073 0.4073 0.2500
0.9097 0.9097 0.7500
0.0904 0.0904 0.2500
0.2255 0.2255 0.7500
0.7745 0.7745 0.2500
0.0000 0.5001 0.9999
0.5000 0.0000 0.5001
0.3142 0.8645 0.9996
0.8646 0.3141 0.5004
0.1353 0.6861 0.4993
0.6861 0.1353 0.0006
0.1968 0.9367 0.6166
0.0631 0.8030 0.1170
0.9368 0.1968 0.8834
0.8030 0.0631 0.3830
0.5888 0.8930 0.8808
0.1073 0.4109 0.3804
0.8930 0.5888 0.6192
0.4109 0.1073 0.1196
0.2855 0.5504 0.8772
0.4497 0.7145 0.3770
0.5504 0.2855 0.6228
0.7146 0.4497 0.1230
```

total magnetization = 0.000 μB per atom
energy of formation from the pure elements = -231.7 kJ/mol of atoms
polymorph energy (0 for the lowest one) = 86.4 meV/atom

# 2
Entry from Materials Project: a relaxed Li3MnO2F2 crystal (PBE+U).

```
Li3MnO2F2
1.0
-4.7320 -0.0508 -3.6496
-0.1964 -5.9651 -0.3053
-7.5342 -3.1549 4.6387
Li Mn O F
12 4 8 8
Direct
0.5477 0.2970 0.1327
0.2970 0.5477 0.6327
0.1979 0.9473 0.3689
0.5440 0.8268 0.1249
0.1965 0.4399 0.3813
0.0708 0.8218 0.1238
0.9473 0.1979 0.8689
0.8268 0.5440 0.6249
0.4399 0.1965 0.8813
0.8218 0.0708 0.6238
0.6812 0.4412 0.3565
0.4412 0.6812 0.8565
0.0644 0.3002 0.1160
0.3002 0.0644 0.6160
0.6745 0.9399 0.3767
0.9399 0.6745 0.8767
0.8055 0.0520 0.1487
0.0520 0.8055 0.6487
0.2967 0.0777 0.1248
0.8383 0.5541 0.1085
0.0777 0.2967 0.6248
0.5541 0.8383 0.6085
0.4485 0.1815 0.3783
0.1815 0.4485 0.8783
0.4316 0.6794 0.3715
0.6794 0.4316 0.8715
0.9203 0.6894 0.3834
0.3126 0.5690 0.1307
0.6894 0.9203 0.8834
0.5690 0.3126 0.6307
0.9494 0.2032 0.3734
0.2032 0.9494 0.8734
```

total magnetization = 0.500 μB per atom
energy of formation from the pure elements = -247.5 kJ/mol of atoms
polymorph energy (0 for the lowest one) = 72.5 meV/atom